Entry 1:
A geometry-optimized Ce2SeO2 structure, computed with PBE-GGA.

Computed properties:
Formation energy from the elements in meV per atom: -3219

Cell lengths 6.8424, 6.8424, 6.8424 Å; angles 146.46, 146.46, 48.16 degrees
With the nearest neighbours (Å) after each atom.
Sites, in units of the cell vectors:
Ce  0.1502  0.1502  0.0000  4 O 2.33
Ce  0.8498  0.8498  0.0000  4 O 2.33
Se  0.5000  0.5000  0.0000  8 Ce 3.36, 8 O 3.70
O  0.2500  0.7500  0.5000  4 Ce 2.33
O  0.7500  0.2500  0.5000  4 Ce 2.33

=====

Entry 2:
A geometry-optimized Ce2SeO2 structure, computed with PBE-GGA.

Computed properties:
Formation energy from the elements in meV per atom: -3262

Cell lengths 3.9889, 3.9889, 7.0426 Å; angles 90.00, 90.00, 120.00 degrees
With the nearest neighbours (Å) after each atom.
Sites, in units of the cell vectors:
Ce  0.3333  0.6667  0.2103  4 O 2.37-2.38
Ce  0.6667  0.3333  0.7897  4 O 2.37-2.38
Se  0.0000  0.0000  0.5000  6 Ce 3.08
O  0.3333  0.6667  0.8744  4 Ce 2.37-2.38
O  0.6667  0.3333  0.1256  4 Ce 2.37-2.38

=====

Entry 3:
A geometry-optimized Ce4Se3O4 structure, computed with PBE-GGA.

Computed properties:
Formation energy from the elements in meV per atom: -2983

Cell lengths 8.6095, 6.6303, 6.6303 Å; angles 34.67, 90.00, 90.00 degrees
With the nearest neighbours (Å) after each atom.
Sites, in units of the cell vectors:
Ce  0.0000  0.0000  0.0000  4 O 2.28-2.42
Ce  0.2392  0.6901  0.6901  4 O 2.33-2.42
Ce  0.5000  0.0135  0.0135  4 O 2.39-2.40
Ce  0.7608  0.6901  0.6901  4 O 2.33-2.42
Se  0.0000  0.3092  0.3092  2 Se 2.95, 6 Ce 3.12-3.23
Se  0.3323  0.3662  0.3662  2 Se 2.89-2.95, 4 Ce 3.08
Se  0.6677  0.3662  0.3662  2 Se 2.89-2.95, 4 Ce 3.08
O  0.0000  0.5902  0.5902  4 Ce 2.28-2.42
O  0.2468  0.0921  0.0921  4 Ce 2.33-2.42
O  0.5000  0.6196  0.6196  4 Ce 2.39-2.42
O  0.7532  0.0921  0.0921  4 Ce 2.33-2.42

=====

Entry 4:
A geometry-optimized Ce7Ti4Se12O6 structure, computed with PBE-GGA.

Computed properties:
Formation energy from the elements in meV per atom: -2306

Cell lengths 14.2066, 14.2066, 11.1245 Å; angles 90.35, 90.35, 15.56 degrees
With the nearest neighbours (Å) after each atom.
Sites, in units of the cell vectors:
Ce  0.0000  0.0000  0.0000  3 O 2.35-2.45
Ce  0.1310  0.1310  0.4617  3 O 2.41-2.59
Ce  0.3630  0.3630  0.6559  3 O 2.34-2.43
Ce  0.5102  0.5102  0.5008  3 O 2.30-2.40
Ce  0.6194  0.6194  0.9648  3 O 2.34-2.49
Ce  0.7610  0.7610  0.8112  3 O 2.37-2.48
Ce  0.8864  0.8864  0.2776  7 Se 2.91-3.21
Ti  0.0639  0.0639  0.7323  2 O 1.95
Ti  0.3510  0.3510  0.9643  1 O 1.91
Ti  0.5639  0.5639  0.2320  2 O 1.96-1.97
Ti  0.7721  0.7721  0.4989  1 O 1.98
Se  0.0004  0.0004  0.2817  2 Ti 2.68
Se  0.1238  0.1238  0.1850  2 Ti 2.61
Se  0.1996  0.1996  0.9393  4 Ce 2.96-2.98
Se  0.2257  0.2257  0.6149  2 Ti 2.66
Se  0.3199  0.3199  0.3902  2 Ti 2.64
Se  0.4240  0.4240  0.1069  1 Ti 2.59
Se  0.4995  0.4995  0.7723  2 Ti 2.68
Se  0.6271  0.6271  0.6918  2 Ti 2.66
Se  0.7026  0.7026  0.3644  1 Ti 2.46
Se  0.8097  0.8097  0.0770  2 Ti 2.58
Se  0.9018  0.9018  0.8521  2 Ti 2.71
Se  0.9266  0.9266  0.5233  5 Ce 2.95-3.05
O  0.0483  0.0483  0.5617  1 Ti 1.95
O  0.0783  0.0783  0.9040  1 Ti 1.95
O  0.3098  0.3098  0.8272  1 Ti 1.91
O  0.5406  0.5406  0.0644  1 Ti 1.97
O  0.5853  0.5853  0.3998  1 Ti 1.96
O  0.8161  0.8161  0.6379  1 Ti 1.98

=====

Entry 5:
A geometry-optimized Ce2ZnSe2O2 structure, computed with PBE-GGA.

Computed properties:
Formation energy from the elements in meV per atom: -2483

Cell lengths 16.9218, 16.9218, 16.9218 Å; angles 160.86, 115.92, 67.56 degrees
With the nearest neighbours (Å) after each atom.
Sites, in units of the cell vectors:
Ce  0.0194  0.9580  0.5771  4 O 2.34-2.36
Ce  0.0810  0.6287  0.9093  4 O 2.33-2.36
Ce  0.1192  0.5420  0.0614  4 O 2.34-2.36
Ce  0.1805  0.2260  0.4065  4 O 2.35
Ce  0.2193  0.1287  0.5476  4 O 2.33-2.36
Ce  0.2807  0.8283  0.9093  4 O 2.33-2.36
Ce  0.3195  0.7260  0.0455  4 O 2.35
Ce  0.3808  0.4423  0.4229  4 O 2.34-2.36
Ce  0.4190  0.3283  0.5476  4 O 2.33-2.36
Ce  0.4806  0.0577  0.9386  4 O 2.34-2.36
Ce  0.5194  0.9423  0.0614  4 O 2.34-2.36
Ce  0.5810  0.6717  0.4524  4 O 2.33-2.36
Ce  0.6192  0.5577  0.5771  4 O 2.34-2.36
Ce  0.6805  0.2740  0.9545  4 O 2.35
Ce  0.7193  0.1717  0.0907  4 O 2.33-2.36
Ce  0.7807  0.8713  0.4524  4 O 2.33-2.36
Ce  0.8195  0.7740  0.5935  4 O 2.35
Ce  0.8808  0.4580  0.9386  4 O 2.34-2.36
Ce  0.9190  0.3713  0.0907  4 O 2.33-2.36
Ce  0.9806  0.0420  0.4229  4 O 2.34-2.36
Zn  0.0561  0.5561  0.5000  4 Se 2.50-2.53
Zn  0.1517  0.1517  0.0000  4 Se 2.50-2.51
Zn  0.2500  0.7500  0.5000  4 Se 2.51
Zn  0.3483  0.3483  0.0000  4 Se 2.50-2.51
Zn  0.4439  0.9439  0.5000  4 Se 2.50-2.53
Zn  0.5561  0.0561  0.5000  4 Se 2.50-2.53
Zn  0.6517  0.6517  0.0000  4 Se 2.50-2.51
Zn  0.7500  0.2500  0.5000  4 Se 2.51
Zn  0.8483  0.8483  0.0000  4 Se 2.50-2.51
Zn  0.9439  0.4439  0.5000  4 Se 2.50-2.53
Se  0.0135  0.8659  0.6781  2 Zn 2.50
Se  0.0861  0.7197  0.8058  2 Zn 2.53
Se  0.1136  0.4542  0.1678  2 Zn 2.51
Se  0.1878  0.3353  0.3219  2 Zn 2.50
Se  0.2135  0.0458  0.6593  2 Zn 2.51
Se  0.2865  0.9458  0.8322  2 Zn 2.51
Se  0.3122  0.6341  0.1476  2 Zn 2.50
Se  0.3864  0.5542  0.3407  2 Zn 2.51
Se  0.4139  0.2197  0.6336  2 Zn 2.53
Se  0.4865  0.1647  0.8524  2 Zn 2.50
Se  0.5135  0.8353  0.1476  2 Zn 2.50
Se  0.5861  0.7803  0.3664  2 Zn 2.53
Se  0.6136  0.4458  0.6593  2 Zn 2.51
Se  0.6878  0.3659  0.8524  2 Zn 2.50
Se  0.7135  0.0542  0.1678  2 Zn 2.51
Se  0.7865  0.9542  0.3407  2 Zn 2.51
Se  0.8122  0.6647  0.6781  2 Zn 2.50
Se  0.8864  0.5458  0.8322  2 Zn 2.51
Se  0.9139  0.2803  0.1942  2 Zn 2.53
Se  0.9865  0.1341  0.3219  2 Zn 2.50
O  0.0022  0.7500  0.2522  4 Ce 2.34-2.35
O  0.0986  0.8359  0.2345  4 Ce 2.34-2.36
O  0.1014  0.3359  0.7373  4 Ce 2.34-2.36
O  0.1999  0.4258  0.7259  4 Ce 2.33-2.35
O  0.1999  0.9258  0.2259  4 Ce 2.33-2.35
O  0.3001  0.0260  0.2259  4 Ce 2.33-2.35
O  0.3001  0.5260  0.7259  4 Ce 2.33-2.35
O  0.3986  0.1359  0.2345  4 Ce 2.34-2.36
O  0.4014  0.6359  0.7373  4 Ce 2.34-2.36
O  0.4978  0.7500  0.7478  4 Ce 2.34-2.35
O  0.5022  0.2500  0.2522  4 Ce 2.34-2.35
O  0.5986  0.3641  0.2627  4 Ce 2.34-2.36
O  0.6014  0.8641  0.7655  4 Ce 2.34-2.36
O  0.6999  0.4740  0.2741  4 Ce 2.33-2.35
O  0.6999  0.9740  0.7741  4 Ce 2.33-2.35
O  0.8001  0.0742  0.7741  4 Ce 2.33-2.35
O  0.8001  0.5742  0.2741  4 Ce 2.33-2.35
O  0.8986  0.6641  0.2627  4 Ce 2.34-2.36
O  0.9014  0.1641  0.7655  4 Ce 2.34-2.36
O  0.9978  0.2500  0.7478  4 Ce 2.34-2.35

=====

Entry 6:
A geometry-optimized Ce2Si2O7 structure, computed with PBE-GGA.

Computed properties:
Formation energy from the elements in meV per atom: -3544

Cell lengths 6.8715, 6.8715, 24.9439 Å; angles 90.00, 90.00, 90.00 degrees
With the nearest neighbours (Å) after each atom.
Sites, in units of the cell vectors:
Ce  0.0178  0.6712  0.0000  6 O 2.39-2.64
Ce  0.1619  0.5839  0.3531  5 O 2.37-2.50
Ce  0.2019  0.2675  0.1022  6 O 2.44-2.54
Ce  0.2675  0.7981  0.8522  6 O 2.44-2.54
Ce  0.2720  0.3838  0.7428  6 O 2.43-2.56
Ce  0.3288  0.0178  0.2500  6 O 2.39-2.64
Ce  0.3838  0.7280  0.4928  6 O 2.43-2.56
Ce  0.4161  0.1619  0.6031  5 O 2.37-2.50
Ce  0.5839  0.8381  0.1031  5 O 2.37-2.50
Ce  0.6162  0.2720  0.9928  6 O 2.43-2.56
Ce  0.6712  0.9822  0.7500  6 O 2.39-2.64
Ce  0.7280  0.6162  0.2428  6 O 2.43-2.56
Ce  0.7325  0.2019  0.3522  6 O 2.44-2.54
Ce  0.7981  0.7325  0.6022  6 O 2.44-2.54
Ce  0.8381  0.4161  0.8531  5 O 2.37-2.50
Ce  0.9822  0.3288  0.5000  6 O 2.39-2.64
Si  0.0939  0.1986  0.9659  4 O 1.61-1.68
Si  0.1230  0.7617  0.1229  4 O 1.62-1.67
Si  0.1986  0.9061  0.7159  4 O 1.61-1.68
Si  0.2031  0.5102  0.2233  4 O 1.62-1.68
Si  0.2383  0.1230  0.3729  4 O 1.62-1.67
Si  0.2667  0.6486  0.6179  4 O 1.62-1.68
Si  0.3514  0.2667  0.8679  4 O 1.62-1.68
Si  0.4898  0.2031  0.4733  4 O 1.62-1.68
Si  0.5102  0.7969  0.9733  4 O 1.62-1.68
Si  0.6486  0.7333  0.3679  4 O 1.62-1.68
Si  0.7333  0.3514  0.1179  4 O 1.62-1.68
Si  0.7617  0.8770  0.8729  4 O 1.62-1.67
Si  0.7969  0.4898  0.7233  4 O 1.62-1.68
Si  0.8014  0.0939  0.2159  4 O 1.61-1.68
Si  0.8770  0.2383  0.6229  4 O 1.62-1.67
Si  0.9061  0.8014  0.4659  4 O 1.61-1.68
O  0.0159  0.0194  0.7415  1 Si 1.61
O  0.0194  0.9841  0.4915  1 Si 1.61
O  0.0394  0.4750  0.2697  1 Si 1.63
O  0.0560  0.2634  0.3908  1 Si 1.64
O  0.0698  0.6359  0.4474  1 Si 1.66
O  0.0709  0.6236  0.1759  2 Si 1.67-1.68
O  0.0735  0.1721  0.5919  1 Si 1.62
O  0.1158  0.6115  0.5678  1 Si 1.64
O  0.1339  0.7876  0.6596  2 Si 1.68
O  0.1721  0.9265  0.3419  1 Si 1.62
O  0.2124  0.1339  0.9096  2 Si 1.68
O  0.2254  0.4476  0.8432  1 Si 1.64
O  0.2486  0.3117  0.0054  1 Si 1.64
O  0.2552  0.6260  0.0822  1 Si 1.65
O  0.2634  0.9440  0.1408  1 Si 1.64
O  0.2841  0.3108  0.1967  1 Si 1.62
O  0.3108  0.7159  0.9467  1 Si 1.62
O  0.3117  0.7514  0.7554  1 Si 1.64
O  0.3438  0.4572  0.6497  1 Si 1.62
O  0.3477  0.3691  0.4997  1 Si 1.64
O  0.3641  0.0698  0.6974  1 Si 1.66
O  0.3691  0.6523  0.2497  1 Si 1.64
O  0.3740  0.2552  0.3322  1 Si 1.65
O  0.3764  0.0709  0.4259  2 Si 1.67-1.68
O  0.3885  0.1158  0.8178  1 Si 1.64
O  0.4476  0.7746  0.5932  1 Si 1.64
O  0.4572  0.6562  0.3997  1 Si 1.62
O  0.4750  0.9606  0.0197  1 Si 1.63
O  0.5250  0.0394  0.5197  1 Si 1.63
O  0.5428  0.3438  0.8997  1 Si 1.62
O  0.5524  0.2254  0.0932  1 Si 1.64
O  0.6115  0.8842  0.3178  1 Si 1.64
O  0.6236  0.9291  0.9259  2 Si 1.67-1.68
O  0.6260  0.7448  0.8322  1 Si 1.65
O  0.6309  0.3477  0.7497  1 Si 1.64
O  0.6359  0.9302  0.1974  1 Si 1.66
O  0.6523  0.6309  0.9997  1 Si 1.64
O  0.6562  0.5428  0.1497  1 Si 1.62
O  0.6883  0.2486  0.2554  1 Si 1.64
O  0.6892  0.2841  0.4467  1 Si 1.62
O  0.7159  0.6892  0.6967  1 Si 1.62
O  0.7366  0.0560  0.6408  1 Si 1.64
O  0.7448  0.3740  0.5822  1 Si 1.65
O  0.7514  0.6883  0.5054  1 Si 1.64
O  0.7746  0.5524  0.3432  1 Si 1.64
O  0.7876  0.8661  0.4096  2 Si 1.68
O  0.8279  0.0735  0.8419  1 Si 1.62
O  0.8661  0.2124  0.1596  2 Si 1.68
O  0.8842  0.3885  0.0678  1 Si 1.64
O  0.9265  0.8279  0.0919  1 Si 1.62
O  0.9291  0.3764  0.6759  2 Si 1.67-1.68
O  0.9302  0.3641  0.9474  1 Si 1.66
O  0.9440  0.7366  0.8908  1 Si 1.64
O  0.9606  0.5250  0.7697  1 Si 1.63
O  0.9806  0.0159  0.9915  1 Si 1.61
O  0.9841  0.9806  0.2415  1 Si 1.61

=====

Entry 7:
A geometry-optimized Ce2Si2O7 structure, computed with PBE-GGA.

Computed properties:
Formation energy from the elements in meV per atom: -3565

Cell lengths 5.4659, 8.8249, 14.3611 Å; angles 90.00, 112.25, 90.00 degrees
With the nearest neighbours (Å) after each atom.
Sites, in units of the cell vectors:
Ce  0.0232  0.1934  0.2674  5 O 2.43-2.55
Ce  0.0232  0.3066  0.7674  5 O 2.43-2.55
Ce  0.3473  0.1073  0.5891  3 O 2.29-2.55
Ce  0.3473  0.3927  0.0891  3 O 2.29-2.55
Ce  0.6527  0.6073  0.9109  3 O 2.29-2.55
Ce  0.6527  0.8927  0.4109  3 O 2.29-2.55
Ce  0.9768  0.6934  0.2326  5 O 2.43-2.55
Ce  0.9768  0.8066  0.7326  5 O 2.43-2.55
Si  0.2935  0.7448  0.0269  4 O 1.64-1.67
Si  0.2935  0.7552  0.5269  4 O 1.64-1.67
Si  0.4120  0.5066  0.6797  4 O 1.64-1.66
Si  0.4120  0.9934  0.1797  4 O 1.64-1.66
Si  0.5880  0.0066  0.8203  4 O 1.64-1.66
Si  0.5880  0.4934  0.3203  4 O 1.64-1.66
Si  0.7065  0.2448  0.4731  4 O 1.64-1.67
Si  0.7065  0.2552  0.9731  4 O 1.64-1.67
O  0.0715  0.6539  0.0589  1 Si 1.66
O  0.0715  0.8461  0.5589  1 Si 1.66
O  0.2278  0.7331  0.9060  1 Si 1.64
O  0.2278  0.7669  0.4060  1 Si 1.64
O  0.2422  0.5821  0.7416  1 Si 1.65
O  0.2422  0.9179  0.2416  1 Si 1.65
O  0.2699  0.0342  0.7534  1 Si 1.66
O  0.2699  0.4658  0.2534  1 Si 1.66
O  0.3295  0.5780  0.5655  2 Si 1.65
O  0.3295  0.9220  0.0655  2 Si 1.65
O  0.3342  0.1735  0.1731  1 Si 1.64
O  0.3342  0.3265  0.6731  1 Si 1.64
O  0.4269  0.1454  0.4207  1 Si 1.67
O  0.4269  0.3546  0.9207  1 Si 1.67
O  0.5731  0.6454  0.0793  1 Si 1.67
O  0.5731  0.8546  0.5793  1 Si 1.67
O  0.6658  0.6735  0.3269  1 Si 1.64
O  0.6658  0.8265  0.8269  1 Si 1.64
O  0.6705  0.0780  0.9345  2 Si 1.65
O  0.6705  0.4220  0.4345  2 Si 1.65
O  0.7301  0.5342  0.7466  1 Si 1.66
O  0.7301  0.9658  0.2466  1 Si 1.66
O  0.7578  0.0821  0.7584  1 Si 1.65
O  0.7578  0.4179  0.2584  1 Si 1.65
O  0.7722  0.2331  0.5940  1 Si 1.64
O  0.7722  0.2669  0.0940  1 Si 1.64
O  0.9285  0.1539  0.4411  1 Si 1.66
O  0.9285  0.3461  0.9411  1 Si 1.66

=====

Entry 8:
A geometry-optimized Ce10Si8O3 structure, computed with PBE-GGA.

Computed properties:
Formation energy from the elements in meV per atom: -1390

Cell lengths 10.6059, 10.6059, 4.5055 Å; angles 90.00, 90.00, 120.00 degrees
With the nearest neighbours (Å) after each atom.
Sites, in units of the cell vectors:
Ce  0.0000  0.0000  0.0000  12 Si 3.26
Ce  0.0000  0.5000  0.5000  2 O 2.25
Ce  0.2123  0.4247  0.0000  2 O 2.74
Ce  0.2123  0.7877  0.0000  2 O 2.74
Ce  0.4247  0.2123  0.0000  2 O 2.74
Ce  0.5000  0.0000  0.5000  2 O 2.25
Ce  0.5000  0.5000  0.5000  2 O 2.25
Ce  0.5753  0.7877  0.0000  2 O 2.74
Ce  0.7877  0.2123  0.0000  2 O 2.74
Ce  0.7877  0.5753  0.0000  2 O 2.74
Si  0.0000  0.2223  0.5000  2 Si 2.36
Si  0.0000  0.7777  0.5000  2 Si 2.36
Si  0.2223  0.0000  0.5000  2 Si 2.36
Si  0.2223  0.2223  0.5000  2 Si 2.36
Si  0.3333  0.6667  0.5000  9 Ce 3.06-3.16
Si  0.6667  0.3333  0.5000  9 Ce 3.06-3.16
Si  0.7777  0.0000  0.5000  2 Si 2.36
Si  0.7777  0.7777  0.5000  2 Si 2.36
O  0.0000  0.5000  0.0000  2 Ce 2.25
O  0.5000  0.0000  0.0000  2 Ce 2.25
O  0.5000  0.5000  0.0000  2 Ce 2.25

=====

- The lowest formation energy from the elements belongs to which entry?
  number 7

=====

- Look up the formation energy from the elements of the third one.
  -2983 meV per atom

=====

Copy entry 4 word for word.
A geometry-optimized Ce7Ti4Se12O6 structure, computed with PBE-GGA.

Computed properties:
Formation energy from the elements in meV per atom: -2306

Cell lengths 14.2066, 14.2066, 11.1245 Å; angles 90.35, 90.35, 15.56 degrees
With the nearest neighbours (Å) after each atom.
Sites, in units of the cell vectors:
Ce  0.0000  0.0000  0.0000  3 O 2.35-2.45
Ce  0.1310  0.1310  0.4617  3 O 2.41-2.59
Ce  0.3630  0.3630  0.6559  3 O 2.34-2.43
Ce  0.5102  0.5102  0.5008  3 O 2.30-2.40
Ce  0.6194  0.6194  0.9648  3 O 2.34-2.49
Ce  0.7610  0.7610  0.8112  3 O 2.37-2.48
Ce  0.8864  0.8864  0.2776  7 Se 2.91-3.21
Ti  0.0639  0.0639  0.7323  2 O 1.95
Ti  0.3510  0.3510  0.9643  1 O 1.91
Ti  0.5639  0.5639  0.2320  2 O 1.96-1.97
Ti  0.7721  0.7721  0.4989  1 O 1.98
Se  0.0004  0.0004  0.2817  2 Ti 2.68
Se  0.1238  0.1238  0.1850  2 Ti 2.61
Se  0.1996  0.1996  0.9393  4 Ce 2.96-2.98
Se  0.2257  0.2257  0.6149  2 Ti 2.66
Se  0.3199  0.3199  0.3902  2 Ti 2.64
Se  0.4240  0.4240  0.1069  1 Ti 2.59
Se  0.4995  0.4995  0.7723  2 Ti 2.68
Se  0.6271  0.6271  0.6918  2 Ti 2.66
Se  0.7026  0.7026  0.3644  1 Ti 2.46
Se  0.8097  0.8097  0.0770  2 Ti 2.58
Se  0.9018  0.9018  0.8521  2 Ti 2.71
Se  0.9266  0.9266  0.5233  5 Ce 2.95-3.05
O  0.0483  0.0483  0.5617  1 Ti 1.95
O  0.0783  0.0783  0.9040  1 Ti 1.95
O  0.3098  0.3098  0.8272  1 Ti 1.91
O  0.5406  0.5406  0.0644  1 Ti 1.97
O  0.5853  0.5853  0.3998  1 Ti 1.96
O  0.8161  0.8161  0.6379  1 Ti 1.98